1.
The following is a DFT calculation (GGA+U) of crystalline BaNdCo2O5 at its relaxed geometry.

Geometry as POSCAR:
```
BaNdCo2O5
1.0
3.915 0.000 0.000
0.000 3.940 0.000
0.000 0.000 7.898
Ba Nd Co O
1 1 2 5
Cartesian
0.000 0.000 0.000 Ba
0.000 0.000 3.971 Nd
1.957 1.970 2.074 Co
1.957 1.970 5.874 Co
0.000 1.970 2.508 O
0.000 1.970 5.496 O
1.957 0.000 2.413 O
1.957 0.000 5.511 O
1.957 1.970 0.032 O
```

- energy above the most stable polymorph in this dataset (meV/atom) = 24
- formation enthalpy at 0 K (eV per atom) = -2.31
- crystal system = orthorhombic

---

2.
The following is a DFT calculation (GGA+U) of crystalline Al2Mo3O12 at its relaxed geometry.

Geometry as POSCAR:
```
Al2Mo3O12
1.0
15.728 0.000 0.000
0.000 9.205 0.000
-5.157 0.000 14.823
Al Mo O
16 24 96
Cartesian
-0.077 0.353 2.641 Al
-2.655 4.250 10.052 Al
-0.018 0.261 8.397 Al
2.560 4.342 0.986 Al
2.752 4.917 6.458 Al
0.173 8.891 13.869 Al
2.457 4.818 12.047 Al
5.035 8.990 4.635 Al
5.536 0.215 10.188 Al
8.115 4.388 2.777 Al
10.398 0.314 0.954 Al
7.820 4.288 8.365 Al
8.012 4.863 13.837 Al
10.590 8.945 6.426 Al
13.226 4.955 4.771 Al
10.648 8.852 12.182 Al
0.193 6.877 0.225 Mo
-2.385 6.931 7.636 Mo
-1.916 1.119 11.459 Mo
0.663 3.484 4.048 Mo
-1.011 5.733 12.840 Mo
1.568 8.075 5.428 Mo
3.441 1.028 1.696 Mo
0.863 3.575 9.107 Mo
4.807 5.648 3.467 Mo
2.229 8.160 10.878 Mo
5.131 2.282 7.276 Mo
2.553 2.321 14.688 Mo
8.018 6.884 0.135 Mo
5.440 6.924 7.547 Mo
8.343 1.046 3.945 Mo
5.764 3.557 11.356 Mo
9.709 5.630 5.716 Mo
7.130 8.177 13.127 Mo
9.004 1.130 9.395 Mo
11.582 3.472 1.983 Mo
9.909 5.721 10.775 Mo
12.487 8.087 3.364 Mo
12.957 2.274 7.187 Mo
10.378 2.329 14.599 Mo
-2.869 5.623 8.758 O
-0.290 8.184 1.346 O
-1.872 6.253 6.051 O
-4.450 7.555 13.462 O
-3.331 0.018 11.563 O
-0.752 4.585 4.152 O
-1.384 1.169 7.430 O
1.195 3.434 0.018 O
0.153 1.767 3.903 O
-2.425 2.835 11.314 O
1.553 5.955 0.921 O
-1.025 7.853 8.333 O
-1.937 5.475 11.325 O
0.642 8.333 3.913 O
1.709 0.635 1.937 O
-0.869 3.967 9.349 O
-0.936 0.711 10.027 O
1.642 3.891 2.615 O
-1.747 4.831 14.201 O
0.832 8.977 6.789 O
-0.867 0.955 12.905 O
1.712 3.648 5.494 O
1.651 6.317 5.770 O
-0.928 7.491 13.181 O
0.977 1.885 8.515 O
3.555 2.717 1.103 O
1.576 4.712 7.924 O
4.154 9.095 0.512 O
3.874 5.239 2.001 O
1.296 8.569 9.412 O
0.669 5.174 12.615 O
3.247 8.634 5.203 O
4.307 0.877 3.255 O
1.729 3.726 10.667 O
3.936 5.115 4.938 O
1.358 8.693 12.349 O
2.426 6.376 10.948 O
5.005 7.431 3.536 O
1.294 1.054 14.565 O
3.872 3.549 7.154 O
3.805 6.196 7.417 O
6.384 7.611 0.005 O
5.083 1.267 5.810 O
2.504 3.336 13.222 O
6.390 4.815 3.394 O
3.811 8.992 10.806 O
3.155 5.899 13.488 O
5.733 7.909 6.077 O
4.838 1.296 8.746 O
7.417 3.307 1.335 O
6.760 0.213 4.017 O
4.182 4.390 11.429 O
8.067 5.870 1.602 O
5.489 7.938 9.013 O
4.188 1.594 14.818 O
6.766 3.009 7.406 O
6.699 5.656 7.669 O
9.277 8.151 0.258 O
5.567 1.774 11.287 O
8.145 2.829 3.875 O
9.214 0.512 2.474 O
6.636 4.091 9.885 O
8.843 5.479 4.156 O
6.264 8.328 11.568 O
7.324 0.572 9.620 O
9.903 4.031 2.208 O
9.276 0.637 5.411 O
6.697 3.966 12.822 O
6.417 0.110 14.311 O
8.996 4.493 6.899 O
7.016 6.488 13.720 O
9.594 7.320 6.308 O
11.499 1.714 1.642 O
8.921 2.888 9.053 O
8.860 5.558 9.329 O
11.438 8.250 1.918 O
9.740 0.228 8.034 O
12.318 4.374 0.623 O
8.929 5.314 12.208 O
11.508 8.494 4.796 O
11.441 5.238 5.474 O
8.862 8.570 12.886 O
9.930 0.872 10.910 O
12.508 3.730 3.498 O
11.597 1.352 6.490 O
9.019 3.250 13.902 O
12.996 6.370 3.509 O
10.418 7.438 10.920 O
9.377 5.771 14.805 O
11.955 8.036 7.393 O
11.324 4.620 10.671 O
13.902 9.187 3.260 O
15.022 1.650 1.361 O
12.443 2.952 8.772 O
10.862 1.021 13.477 O
13.440 3.582 6.065 O
```

- formation enthalpy at 0 K (eV per atom) = -2.40
- crystal system = monoclinic

---

3.
The following is a DFT calculation (GGA+U) of crystalline Al2NiO4 at its relaxed geometry.

Geometry as POSCAR:
```
Al2NiO4
1.0
5.738 0.000 0.000
2.868 4.974 0.000
2.856 1.598 9.555
Al Ni O
8 4 16
Cartesian
0.000 0.000 0.000 Al
10.032 5.773 4.778 Al
7.171 2.486 0.001 Al
5.725 4.928 7.168 Al
7.162 5.772 4.777 Al
7.159 4.085 9.555 Al
5.728 3.286 4.778 Al
5.734 1.644 2.390 Al
2.864 3.291 2.944 Ni
5.740 4.972 1.831 Ni
5.728 1.602 7.723 Ni
8.599 3.281 6.607 Ni
1.279 0.915 1.128 O
2.864 3.316 0.958 O
4.444 4.202 5.899 O
2.858 1.441 5.908 O
5.723 3.440 8.423 O
7.005 5.657 8.433 O
5.722 4.940 3.818 O
4.447 2.368 3.656 O
7.008 4.202 5.902 O
5.727 1.630 5.736 O
4.455 0.917 1.116 O
5.734 3.131 1.134 O
8.596 5.129 3.647 O
7.013 2.371 3.655 O
8.593 3.256 8.597 O
10.181 5.656 8.435 O
```

- energy above the most stable polymorph in this dataset (meV/atom) = 22
- formation enthalpy at 0 K (eV per atom) = -2.78
- crystal system = triclinic

---

4.
The following is a DFT calculation (GGA+U) of crystalline Li5Co3O8 at its relaxed geometry.

Geometry as POSCAR:
```
Li5Co3O8
1.0
5.934 0.000 0.000
0.000 2.936 0.000
-0.117 0.000 8.078
Li Co O
5 3 8
Cartesian
0.000 0.000 0.000 Li
-0.058 0.000 4.039 Li
1.406 1.468 2.095 Li
2.909 0.000 4.039 Li
4.412 1.468 5.983 Li
1.356 1.468 5.947 Co
2.967 0.000 0.000 Co
4.461 1.468 2.130 Co
0.021 0.000 6.072 O
1.429 1.468 4.221 O
1.456 1.468 7.907 O
2.815 0.000 6.097 O
3.003 0.000 1.981 O
4.361 1.468 0.171 O
4.388 1.468 3.857 O
5.796 0.000 2.006 O
```

- energy above the most stable polymorph in this dataset (meV/atom) = 46
- formation enthalpy at 0 K (eV per atom) = -1.69
- crystal system = monoclinic

---

5.
The following is a DFT calculation (GGA+U) of crystalline BaMnPO4F2 at its relaxed geometry.

Geometry as POSCAR:
```
BaMnPO4F2
1.0
5.265 0.000 0.000
0.000 13.016 0.000
-3.543 0.000 7.225
Ba Mn P O F
4 4 4 16 8
Cartesian
0.109 2.643 1.372 Ba
-1.663 3.865 4.985 Ba
3.385 9.151 2.241 Ba
1.614 10.373 5.853 Ba
-1.771 0.000 3.613 Mn
0.000 6.508 0.000 Mn
2.633 0.000 0.000 Mn
0.861 6.508 3.613 Mn
-0.895 7.937 5.800 P
0.876 11.587 2.188 P
0.846 1.429 5.038 P
2.618 5.079 1.425 P
-2.164 7.741 6.689 O
-0.392 11.782 3.077 O
-1.033 9.280 5.078 O
0.738 10.244 1.465 O
-0.387 1.484 4.059 O
1.385 5.024 0.446 O
-0.716 6.751 4.793 O
1.055 12.773 1.180 O
0.667 0.243 6.045 O
2.439 6.265 2.433 O
0.338 7.992 6.779 O
2.110 11.532 3.167 O
0.984 2.772 5.760 O
2.756 3.736 2.148 O
2.115 1.233 4.149 O
3.886 5.275 0.536 O
-0.051 7.320 1.910 F
-1.822 12.204 5.522 F
-1.575 1.758 6.843 F
0.196 4.750 3.231 F
1.526 8.266 3.995 F
3.298 11.258 0.382 F
3.545 0.812 1.703 F
1.773 5.696 5.316 F
```

- formation enthalpy at 0 K (eV per atom) = -3.04
- crystal system = monoclinic

---

6.
The following is a DFT calculation (GGA+U) of crystalline KFeSe4O12 at its relaxed geometry.

Geometry as POSCAR:
```
KFeSe4O12
1.0
7.443 0.000 0.000
0.000 3.804 4.201
0.000 -3.804 4.201
K Fe Se O
1 1 4 12
Cartesian
0.000 0.000 0.000 K
3.721 0.000 3.338 Fe
1.908 -1.735 6.122 Se
1.908 1.735 6.122 Se
5.534 -1.735 6.122 Se
5.534 1.735 6.122 Se
0.000 -1.701 5.760 O
0.000 1.701 5.760 O
1.887 0.000 2.447 O
2.086 -2.400 3.534 O
2.086 2.400 3.534 O
2.417 0.000 5.291 O
3.721 -1.417 1.666 O
3.721 1.417 1.666 O
5.026 0.000 5.291 O
5.356 -2.400 3.534 O
5.356 2.400 3.534 O
5.556 0.000 2.447 O
```

- formation enthalpy at 0 K (eV per atom) = -0.92
- crystal system = orthorhombic